(1)
Density functional theory data (PBE) for crystalline K2Tc9O27F11 at its relaxed geometry.

Unit cell a=8.5645 b=14.6643 c=25.7010 alpha=90.00 beta=92.70 gamma=90.00
Last column: nearest neighbours and their distance in Å.
Atoms (fractional coordinates):
K 0.1855 0.2115 0.0013  1 F 2.92, 7 O 2.93-3.25
K 0.1855 0.2885 0.5013  1 F 2.92, 7 O 2.93-3.25
K 0.2462 0.5507 0.7764  2 F 2.80-2.93, 7 O 2.93-3.09
K 0.2462 0.9493 0.2764  2 F 2.80-2.93, 7 O 2.93-3.09
K 0.7538 0.0507 0.7236  2 F 2.80-2.93, 7 O 2.93-3.09
K 0.7538 0.4493 0.2236  2 F 2.80-2.93, 7 O 2.93-3.09
K 0.8145 0.7115 0.4987  1 F 2.92, 7 O 2.93-3.25
K 0.8145 0.7885 0.9987  1 F 2.92, 7 O 2.93-3.25
Tc 0.0508 0.6766 0.3317  3 O 1.71
Tc 0.0508 0.8234 0.8317  3 O 1.71
Tc 0.0787 0.6427 0.1385  3 O 1.71
Tc 0.0787 0.8573 0.6385  3 O 1.71
Tc 0.2060 0.5873 0.9518  3 O 1.70-1.71, 1 F 1.87
Tc 0.2060 0.9127 0.4518  3 O 1.70-1.71, 1 F 1.87
Tc 0.2190 0.5615 0.5957  3 O 1.70-1.71, 1 F 1.86
Tc 0.2190 0.9385 0.0957  3 O 1.70-1.71, 1 F 1.86
Tc 0.2403 0.1344 0.7988  3 O 1.71, 1 F 1.87
Tc 0.2403 0.3656 0.2988  3 O 1.71, 1 F 1.87
Tc 0.3054 0.0642 0.6226  3 O 1.71
Tc 0.3054 0.4358 0.1226  3 O 1.71
Tc 0.3164 0.5943 0.4348  3 O 1.71-1.72
Tc 0.3164 0.9057 0.9348  3 O 1.71-1.72
Tc 0.4638 0.6646 0.3099  3 O 1.71
Tc 0.4638 0.8354 0.8099  3 O 1.71
Tc 0.4915 0.6575 0.1145  3 O 1.71
Tc 0.4915 0.8425 0.6145  3 O 1.71
Tc 0.5085 0.1575 0.3855  3 O 1.71
Tc 0.5085 0.3425 0.8855  3 O 1.71
Tc 0.5362 0.1646 0.1901  3 O 1.71
Tc 0.5362 0.3354 0.6901  3 O 1.71
Tc 0.6836 0.0943 0.0652  3 O 1.71-1.72
Tc 0.6836 0.4057 0.5652  3 O 1.71-1.72
Tc 0.6946 0.5642 0.8774  3 O 1.71
Tc 0.6946 0.9358 0.3774  3 O 1.71
Tc 0.7597 0.6344 0.7012  3 O 1.71, 1 F 1.87
Tc 0.7597 0.8656 0.2012  3 O 1.71, 1 F 1.87
Tc 0.7810 0.0615 0.9043  3 O 1.70-1.71, 1 F 1.86
Tc 0.7810 0.4385 0.4043  3 O 1.70-1.71, 1 F 1.86
Tc 0.7940 0.0873 0.5482  3 O 1.70-1.71, 1 F 1.87
Tc 0.7940 0.4127 0.0482  3 O 1.70-1.71, 1 F 1.87
Tc 0.9213 0.1427 0.3615  3 O 1.71
Tc 0.9213 0.3573 0.8615  3 O 1.71
Tc 0.9492 0.1766 0.1683  3 O 1.71
Tc 0.9492 0.3234 0.6683  3 O 1.71
O 0.0090 0.0734 0.3180  1 Tc 1.71
O 0.0090 0.4266 0.8180  1 Tc 1.71
O 0.0318 0.2201 0.1142  1 Tc 1.71
O 0.0318 0.2799 0.6142  1 Tc 1.71
O 0.0555 0.6225 0.5778  1 Tc 1.71
O 0.0555 0.8775 0.0778  1 Tc 1.71
O 0.0689 0.1777 0.4040  1 Tc 1.71
O 0.0689 0.3223 0.9040  1 Tc 1.71
O 0.0747 0.7294 0.7933  1 Tc 1.71
O 0.0747 0.7706 0.2933  1 Tc 1.71
O 0.0937 0.1142 0.1995  1 Tc 1.71
O 0.0937 0.3858 0.6995  1 Tc 1.71
O 0.1266 0.7379 0.1744  1 Tc 1.71
O 0.1266 0.7621 0.6744  1 Tc 1.71
O 0.1724 0.5888 0.8857  1 Tc 1.71
O 0.1724 0.9112 0.3857  1 Tc 1.71
O 0.1807 0.6512 0.4696  1 Tc 1.72
O 0.1807 0.8488 0.9696  1 Tc 1.72
O 0.1843 0.1008 0.6694  1 Tc 1.71
O 0.1843 0.3992 0.1694  1 Tc 1.71
O 0.1992 0.0457 0.0701  1 Tc 1.71
O 0.1992 0.4543 0.5701  1 Tc 1.71
O 0.2259 0.2433 0.7756  1 Tc 1.71
O 0.2259 0.2567 0.2756  1 Tc 1.71
O 0.2287 0.0227 0.4719  1 Tc 1.70
O 0.2287 0.4773 0.9719  1 Tc 1.70
O 0.2602 0.1388 0.8651  1 Tc 1.71
O 0.2602 0.3612 0.3651  1 Tc 1.71
O 0.2813 0.1410 0.5729  1 Tc 1.71
O 0.2813 0.3590 0.0729  1 Tc 1.71
O 0.3185 0.0138 0.9600  1 Tc 1.71
O 0.3185 0.4862 0.4600  1 Tc 1.71
O 0.3614 0.0949 0.3555  1 Tc 1.71
O 0.3614 0.4051 0.8555  1 Tc 1.71
O 0.3748 0.6452 0.9664  1 Tc 1.70
O 0.3748 0.8548 0.4664  1 Tc 1.70
O 0.3760 0.6116 0.5694  1 Tc 1.70
O 0.3760 0.8884 0.0694  1 Tc 1.70
O 0.3867 0.1995 0.1485  1 Tc 1.71
O 0.3867 0.3005 0.6485  1 Tc 1.71
O 0.4002 0.0838 0.7741  1 Tc 1.71
O 0.4002 0.4162 0.2741  1 Tc 1.71
O 0.4112 0.7381 0.7767  1 Tc 1.71
O 0.4112 0.7619 0.2767  1 Tc 1.71
O 0.4272 0.2054 0.4385  1 Tc 1.71
O 0.4272 0.2946 0.9385  1 Tc 1.71
O 0.4499 0.0965 0.2345  1 Tc 1.71
O 0.4499 0.4035 0.7345  1 Tc 1.71
O 0.4692 0.7463 0.1568  1 Tc 1.71
O 0.4692 0.7537 0.6568  1 Tc 1.71
O 0.4878 0.0853 0.6502  1 Tc 1.71
O 0.4878 0.4147 0.1502  1 Tc 1.71
O 0.4898 0.6418 0.4566  1 Tc 1.71
O 0.4898 0.8582 0.9566  1 Tc 1.71
O 0.5102 0.1418 0.0434  1 Tc 1.71
O 0.5102 0.3582 0.5434  1 Tc 1.71
O 0.5122 0.5853 0.8498  1 Tc 1.71
O 0.5122 0.9147 0.3498  1 Tc 1.71
O 0.5308 0.2463 0.3432  1 Tc 1.71
O 0.5308 0.2537 0.8432  1 Tc 1.71
O 0.5501 0.5965 0.2655  1 Tc 1.71
O 0.5501 0.9035 0.7655  1 Tc 1.71
O 0.5728 0.7054 0.0615  1 Tc 1.71
O 0.5728 0.7946 0.5615  1 Tc 1.71
O 0.5888 0.2381 0.7233  1 Tc 1.71
O 0.5888 0.2619 0.2233  1 Tc 1.71
O 0.5998 0.5838 0.7259  1 Tc 1.71
O 0.5998 0.9162 0.2259  1 Tc 1.71
O 0.6133 0.6995 0.3515  1 Tc 1.71
O 0.6133 0.8005 0.8515  1 Tc 1.71
O 0.6240 0.1116 0.9306  1 Tc 1.70
O 0.6240 0.3884 0.4306  1 Tc 1.70
O 0.6252 0.1452 0.5336  1 Tc 1.70
O 0.6252 0.3548 0.0336  1 Tc 1.70
O 0.6387 0.5949 0.1445  1 Tc 1.71
O 0.6387 0.9051 0.6445  1 Tc 1.71
O 0.6815 0.5138 0.5400  1 Tc 1.71
O 0.6815 0.9862 0.0400  1 Tc 1.71
O 0.7187 0.6410 0.9271  1 Tc 1.71
O 0.7187 0.8590 0.4271  1 Tc 1.71
O 0.7398 0.6388 0.6349  1 Tc 1.71
O 0.7398 0.8612 0.1349  1 Tc 1.71
O 0.7713 0.5227 0.0281  1 Tc 1.70
O 0.7713 0.9773 0.5281  1 Tc 1.70
O 0.7741 0.7433 0.7244  1 Tc 1.71
O 0.7741 0.7567 0.2244  1 Tc 1.71
O 0.8008 0.5457 0.4299  1 Tc 1.71
O 0.8008 0.9543 0.9299  1 Tc 1.71
O 0.8157 0.6008 0.8306  1 Tc 1.71
O 0.8157 0.8992 0.3306  1 Tc 1.71
O 0.8193 0.1512 0.0304  1 Tc 1.72
O 0.8193 0.3488 0.5304  1 Tc 1.72
O 0.8276 0.0888 0.6143  1 Tc 1.71
O 0.8276 0.4112 0.1143  1 Tc 1.71
O 0.8734 0.2379 0.3256  1 Tc 1.71
O 0.8734 0.2621 0.8256  1 Tc 1.71
O 0.9063 0.6142 0.3005  1 Tc 1.71
O 0.9063 0.8858 0.8005  1 Tc 1.71
O 0.9253 0.2294 0.7067  1 Tc 1.71
O 0.9253 0.2706 0.2067  1 Tc 1.71
O 0.9311 0.6777 0.0960  1 Tc 1.71
O 0.9311 0.8223 0.5960  1 Tc 1.71
O 0.9445 0.1225 0.9222  1 Tc 1.71
O 0.9445 0.3775 0.4222  1 Tc 1.71
O 0.9682 0.7201 0.3858  1 Tc 1.71
O 0.9682 0.7799 0.8858  1 Tc 1.71
O 0.9910 0.5734 0.1820  1 Tc 1.71
O 0.9910 0.9266 0.6820  1 Tc 1.71
F 0.0412 0.6431 0.9847  1 Tc 1.87
F 0.0412 0.8569 0.4847  1 Tc 1.87
F 0.0564 0.0713 0.7807  1 Tc 1.87
F 0.0564 0.4287 0.2807  1 Tc 1.87
F 0.1205 0.5214 0.0926  2 Tc 2.14-2.17
F 0.1205 0.9786 0.5926  2 Tc 2.14-2.17
F 0.1275 0.5628 0.3793  2 Tc 2.15-2.16
F 0.1275 0.9372 0.8793  2 Tc 2.15-2.16
F 0.2346 0.6134 0.2914  2 Tc 2.13-2.14
F 0.2346 0.8866 0.7914  2 Tc 2.13-2.14
F 0.2522 0.5576 0.6678  1 Tc 1.86
F 0.2522 0.9424 0.1678  1 Tc 1.86
F 0.2556 0.6829 0.0867  2 Tc 2.14
F 0.2556 0.8171 0.5867  2 Tc 2.14
F 0.2902 0.7045 0.3726  3 Tc 2.28-2.32, 3 F 2.50-2.51
F 0.2902 0.7955 0.8726  3 Tc 2.28-2.32, 3 F 2.50-2.51
F 0.3120 0.5772 0.1617  3 Tc 2.27-2.32, 3 F 2.50-2.51
F 0.3120 0.9228 0.6617  3 Tc 2.27-2.32, 3 F 2.50-2.51
F 0.4177 0.5356 0.0756  2 Tc 2.13-2.15
F 0.4177 0.9644 0.5756  2 Tc 2.13-2.15
F 0.4304 0.5556 0.3656  2 Tc 2.14-2.17
F 0.4304 0.9444 0.8656  2 Tc 2.14-2.17
F 0.5696 0.0556 0.1344  2 Tc 2.14-2.17
F 0.5696 0.4444 0.6344  2 Tc 2.14-2.17
F 0.5823 0.0356 0.4244  2 Tc 2.13-2.15
F 0.5823 0.4644 0.9244  2 Tc 2.13-2.15
F 0.6880 0.0772 0.3383  3 Tc 2.27-2.32, 3 F 2.50-2.51
F 0.6880 0.4228 0.8383  3 Tc 2.27-2.32, 3 F 2.50-2.51
F 0.7098 0.2045 0.1274  3 Tc 2.28-2.32, 3 F 2.50-2.51
F 0.7098 0.2955 0.6274  3 Tc 2.28-2.32, 3 F 2.50-2.51
F 0.7444 0.1829 0.4133  2 Tc 2.14
F 0.7444 0.3171 0.9133  2 Tc 2.14
F 0.7478 0.0576 0.8322  1 Tc 1.86
F 0.7478 0.4424 0.3322  1 Tc 1.86
F 0.7654 0.1134 0.2086  2 Tc 2.13-2.14
F 0.7654 0.3866 0.7086  2 Tc 2.13-2.14
F 0.8725 0.0628 0.1207  2 Tc 2.15-2.16
F 0.8725 0.4372 0.6207  2 Tc 2.15-2.16
F 0.8795 0.0214 0.4074  2 Tc 2.14-2.17
F 0.8795 0.4786 0.9074  2 Tc 2.14-2.17
F 0.9436 0.5713 0.7193  1 Tc 1.87
F 0.9436 0.9287 0.2193  1 Tc 1.87
F 0.9588 0.1431 0.5153  1 Tc 1.87
F 0.9588 0.3569 0.0153  1 Tc 1.87

## Properties
- symmetry = P2_1/c, No. 14

(2)
Density functional theory data (PBE) for crystalline KTeO2F at its relaxed geometry.

Unit cell a=6.3496 b=15.2684 c=13.2437 alpha=90.00 beta=114.34 gamma=90.00
Last column: nearest neighbours and their distance in Å.
Atoms (fractional coordinates):
K 0.1595 0.1850 0.3680  4 O 2.73-2.95, 2 F 2.74-2.81
K 0.1595 0.3150 0.8680  4 O 2.73-2.95, 2 F 2.74-2.81
K 0.2069 0.6845 0.4853  3 F 2.60-2.71, 2 O 2.67
K 0.2069 0.8155 0.9853  3 F 2.60-2.71, 2 O 2.67
K 0.3375 0.0713 0.1010  3 O 2.82-3.13, 2 F 2.83-3.00
K 0.3375 0.4287 0.6010  3 O 2.82-3.13, 2 F 2.83-3.00
K 0.6625 0.5713 0.3990  3 O 2.82-3.13, 2 F 2.83-3.00
K 0.6625 0.9287 0.8990  3 O 2.82-3.13, 2 F 2.83-3.00
K 0.7931 0.1845 0.0147  3 F 2.60-2.71, 2 O 2.67
K 0.7931 0.3155 0.5147  3 F 2.60-2.71, 2 O 2.67
K 0.8405 0.6850 0.1320  4 O 2.73-2.95, 2 F 2.74-2.81
K 0.8405 0.8150 0.6320  4 O 2.73-2.95, 2 F 2.74-2.81
Te 0.0820 0.0513 0.7820  2 O 1.84-1.96
Te 0.0820 0.4487 0.2820  2 O 1.84-1.96
Te 0.3193 0.5384 0.0932  2 O 1.85-1.93
Te 0.3193 0.9616 0.5932  2 O 1.85-1.93
Te 0.4265 0.1843 0.6974  2 O 1.84-1.95
Te 0.4265 0.3157 0.1974  2 O 1.84-1.95
Te 0.5735 0.6843 0.8026  2 O 1.84-1.95
Te 0.5735 0.8157 0.3026  2 O 1.84-1.95
Te 0.6807 0.0384 0.4068  2 O 1.85-1.93
Te 0.6807 0.4616 0.9068  2 O 1.85-1.93
Te 0.9180 0.5513 0.7180  2 O 1.84-1.96
Te 0.9180 0.9487 0.2180  2 O 1.84-1.96
O 0.1606 0.5235 0.4010  1 Te 1.84
O 0.1606 0.9765 0.9010  1 Te 1.84
O 0.1781 0.2452 0.1779  1 Te 1.84
O 0.1781 0.2548 0.6779  1 Te 1.84
O 0.1826 0.5491 0.1988  2 Te 1.93-2.13
O 0.1826 0.9509 0.6988  2 Te 1.93-2.13
O 0.2658 0.0981 0.5822  2 Te 1.95-2.11
O 0.2658 0.4019 0.0822  2 Te 1.95-2.11
O 0.3688 0.0310 0.3162  1 Te 1.85
O 0.3688 0.4690 0.8162  1 Te 1.85
O 0.3841 0.1064 0.8199  2 Te 1.96-2.12
O 0.3841 0.3936 0.3199  2 Te 1.96-2.12
O 0.6159 0.6064 0.6801  2 Te 1.96-2.12
O 0.6159 0.8936 0.1801  2 Te 1.96-2.12
O 0.6312 0.5310 0.1838  1 Te 1.85
O 0.6312 0.9690 0.6838  1 Te 1.85
O 0.7342 0.5981 0.9178  2 Te 1.95-2.11
O 0.7342 0.9019 0.4178  2 Te 1.95-2.11
O 0.8174 0.0491 0.3012  2 Te 1.93-2.13
O 0.8174 0.4509 0.8012  2 Te 1.93-2.13
O 0.8219 0.7452 0.3221  1 Te 1.84
O 0.8219 0.7548 0.8221  1 Te 1.84
O 0.8394 0.0235 0.0990  1 Te 1.84
O 0.8394 0.4765 0.5990  1 Te 1.84
F 0.0162 0.1483 0.8833  1 Te 2.15
F 0.0162 0.3517 0.3833  1 Te 2.15
F 0.3405 0.6770 0.1105  1 Te 2.13
F 0.3405 0.8230 0.6105  1 Te 2.13
F 0.4694 0.2424 0.0693  1 Te 2.14
F 0.4694 0.2576 0.5693  1 Te 2.14
F 0.5306 0.7424 0.4307  1 Te 2.14
F 0.5306 0.7576 0.9307  1 Te 2.14
F 0.6595 0.1770 0.3895  1 Te 2.13
F 0.6595 0.3230 0.8895  1 Te 2.13
F 0.9838 0.6483 0.6167  1 Te 2.15
F 0.9838 0.8517 0.1167  1 Te 2.15

## Properties
- symmetry = P2_1/c, No. 14

E values, unit eV per atom, following the record order: -6.678; -4.939.
Energy of formation from the pure elements values, unit eV/atom, following the record order: -2.056; -2.093.
MP2020-corrected energy values, unit eV per cell, following the record order: -1403.41; -318.35.